Na3Sm | PBE-GGA | optimized geometry

Unit cell a=4.9850 b=4.9850 c=11.0967 alpha=90.00 beta=90.00 gamma=90.00
Sites, in units of the cell vectors:
Na (0.0000, 0.0000, 0.0000)
Na (0.0000, 0.5000, 0.2500)
Na (0.0000, 0.5000, 0.7500)
Na (0.5000, 0.0000, 0.2500)
Na (0.5000, 0.0000, 0.7500)
Na (0.5000, 0.5000, 0.5000)
Sm (0.0000, 0.0000, 0.5000)
Sm (0.5000, 0.5000, 0.0000)

Summary:
M_tot	0.00	μB per formula unit
E	-1.824	eV per atom
E_form	348	meV per atom